Version w
NdHo3 after structural relaxation. Source: the Materials Project, functional r²SCAN.

Values from the calculation:
As for the space group: I4/mmm (139). The calculation puts the total magnetic moment at 0.0000 μB per atom.

Cell lengths 6.1748, 6.1748, 6.1748 Å; angles 131.71, 131.71, 70.69 degrees
Last column: nearest neighbours and their distance in Å.
Fractional coordinates of all 4 atoms:
Ho 0.2500 0.7500 0.5000  8 Ho 3.57, 4 Nd 3.57
Ho 0.5000 0.5000 0.0000  8 Ho 3.57, 4 Nd 3.57
Ho 0.7500 0.2500 0.5000  8 Ho 3.57, 4 Nd 3.57
Nd 0.0000 0.0000 0.0000  12 Ho 3.57

=====

Version x
NdHo3 after structural relaxation. Source: the Materials Project, functional r²SCAN.

Values from the calculation:
As for the space group: P6_3/mmc (194). The calculation puts the total magnetic moment at 0.5937 μB per atom.

Cell lengths 7.2570, 7.2570, 5.7987 Å; angles 90.00, 90.00, 120.00 degrees
Last column: nearest neighbours and their distance in Å.
Fractional coordinates of all 8 atoms:
Ho 0.6704 0.8352 0.2500  8 Ho 3.56-3.67, 4 Nd 3.59-3.63
Nd 0.3333 0.6667 0.7500  12 Ho 3.59-3.63
Ho 0.8352 0.1648 0.7500  8 Ho 3.56-3.67, 4 Nd 3.59-3.63
Ho 0.1648 0.8352 0.2500  8 Ho 3.56-3.67, 4 Nd 3.59-3.63
Ho 0.8352 0.6704 0.7500  8 Ho 3.56-3.67, 4 Nd 3.59-3.63
Nd 0.6667 0.3333 0.2500  12 Ho 3.59-3.63
Ho 0.1648 0.3296 0.2500  8 Ho 3.56-3.67, 4 Nd 3.59-3.63
Ho 0.3296 0.1648 0.7500  8 Ho 3.56-3.67, 4 Nd 3.59-3.63

=====

Ranked by calculated energy, most stable first: version x, version w.

=====

Version w
HfMo2 after structural relaxation. Source: the Materials Project, functional r²SCAN.

Values from the calculation:
As for the space group: Fd-3m (227). The calculation puts the total magnetic moment at 0.0000 μB per atom.

Cell lengths 5.3403, 5.3403, 5.3403 Å; angles 60.00, 60.00, 60.00 degrees
Last column: nearest neighbours and their distance in Å.
Fractional coordinates of all 6 atoms:
Mo 0.5000 0.5000 0.0000  6 Mo 2.67
Mo 0.5000 0.0000 0.5000  6 Mo 2.67
Mo 0.5000 0.5000 0.5000  6 Mo 2.67
Mo 0.0000 0.5000 0.5000  6 Mo 2.67
Hf 0.1250 0.1250 0.1250  12 Mo 3.13, 4 Hf 3.27
Hf 0.8750 0.8750 0.8750  12 Mo 3.13, 4 Hf 3.27

=====

Version x
HfMo2 after structural relaxation. Source: the Materials Project, functional r²SCAN.

Values from the calculation:
As for the space group: P6_3/mmc (194). The calculation puts the total magnetic moment at 0.0000 μB per atom.

Cell lengths 5.3485, 5.3485, 17.3695 Å; angles 90.00, 90.00, 120.00 degrees
Last column: nearest neighbours and their distance in Å.
Fractional coordinates of all 24 atoms:
Mo 0.5000 0.5000 0.0000  6 Mo 2.64-2.67
Mo 0.0000 0.5000 0.5000  6 Mo 2.64-2.67
Hf 0.6667 0.3333 0.3436  12 Mo 3.12-3.14, 4 Hf 3.25-3.27
Mo 0.5000 0.0000 0.5000  6 Mo 2.64-2.67
Mo 0.3269 0.1634 0.7500  6 Mo 2.62-2.73
Hf 0.3333 0.6667 0.8436  12 Mo 3.12-3.14, 4 Hf 3.25-3.27
Mo 0.3333 0.6667 0.3765  6 Mo 2.64-2.70
Hf 0.0000 0.0000 0.0949  12 Mo 3.09-3.14, 4 Hf 3.27-3.30
Mo 0.8366 0.6731 0.7500  6 Mo 2.62-2.73
Mo 0.1634 0.8366 0.2500  6 Mo 2.62-2.73
Mo 0.0000 0.5000 0.0000  6 Mo 2.64-2.67
Hf 0.0000 0.0000 0.9051  12 Mo 3.09-3.14, 4 Hf 3.27-3.30
Mo 0.5000 0.5000 0.5000  6 Mo 2.64-2.67
Mo 0.6667 0.3333 0.6235  6 Mo 2.64-2.70
Mo 0.6731 0.8366 0.2500  6 Mo 2.62-2.73
Mo 0.1634 0.3269 0.2500  6 Mo 2.62-2.73
Mo 0.8366 0.1634 0.7500  6 Mo 2.62-2.73
Mo 0.3333 0.6667 0.1235  6 Mo 2.64-2.70
Hf 0.6667 0.3333 0.1564  12 Mo 3.12-3.14, 4 Hf 3.25-3.27
Mo 0.6667 0.3333 0.8765  6 Mo 2.64-2.70
Mo 0.5000 0.0000 0.0000  6 Mo 2.64-2.67
Hf 0.0000 0.0000 0.5949  12 Mo 3.09-3.14, 4 Hf 3.27-3.30
Hf 0.0000 0.0000 0.4051  12 Mo 3.09-3.14, 4 Hf 3.27-3.30
Hf 0.3333 0.6667 0.6564  12 Mo 3.12-3.14, 4 Hf 3.25-3.27

=====

Ranked by calculated energy, most stable first: version w, version x.

=====

Version w
Gd after structural relaxation. Source: the Materials Project, functional r²SCAN.

Values from the calculation:
As for the space group: Fm-3m (225). The calculation puts the total magnetic moment at 8.0625 μB per atom.

Cell lengths 3.6569, 3.6569, 3.6569 Å; angles 60.00, 60.00, 60.00 degrees
Last column: nearest neighbours and their distance in Å.
Fractional coordinates of all 1 atoms:
Gd 0.0000 0.0000 0.0000  12 Gd 3.66

=====

Version x
Gd after structural relaxation. Source: the Materials Project, functional r²SCAN.

Values from the calculation:
As for the space group: P6_3/mmc (194). The calculation puts the total magnetic moment at 7.9481 μB per atom.

Cell lengths 3.6419, 3.6419, 5.9017 Å; angles 90.00, 90.00, 120.00 degrees
Last column: nearest neighbours and their distance in Å.
Fractional coordinates of all 2 atoms:
Gd 0.6667 0.3333 0.7500  12 Gd 3.62-3.64
Gd 0.3333 0.6667 0.2500  12 Gd 3.62-3.64

=====

Ranked by calculated energy, most stable first: version x, version w.

=====

Version w
P after structural relaxation. Source: the Materials Project, functional r²SCAN.

Values from the calculation:
As for the space group: C2/m (12). The calculation puts the total magnetic moment at 0.0000 μB per atom.

Cell lengths 5.5807, 6.4602, 6.4602 Å; angles 83.28, 89.82, 89.82 degrees
Last column: nearest neighbours and their distance in Å.
Fractional coordinates of all 8 atoms:
P 0.7465 0.7745 0.5203  3 P 2.18
P 0.2535 0.4797 0.2255  3 P 2.18
P 0.2535 0.2255 0.4797  3 P 2.18
P 0.7490 0.8432 0.8432  3 P 2.18
P 0.5720 0.2850 0.2850  3 P 2.18
P 0.2510 0.1568 0.1568  3 P 2.18
P 0.4280 0.7150 0.7150  3 P 2.18
P 0.7465 0.5203 0.7745  3 P 2.18

=====

Version x
P after structural relaxation. Source: the Materials Project, functional r²SCAN.

Values from the calculation:
As for the space group: Cmce (64). The calculation puts the total magnetic moment at 0.0000 μB per atom.

Cell lengths 3.2955, 4.5436, 5.7080 Å; angles 90.00, 106.78, 90.00 degrees
Last column: nearest neighbours and their distance in Å.
Fractional coordinates of all 4 atoms:
P 0.4041 0.9112 0.8083  3 P 2.20-2.25
P 0.0959 0.4112 0.1917  3 P 2.20-2.25
P 0.5959 0.0888 0.1917  3 P 2.20-2.25
P 0.9041 0.5888 0.8083  3 P 2.20-2.25

=====

Ranked by calculated energy, most stable first: version x, version w.